An optimized crystal structure of La4Rh3. Source: the Materials Project, functional GGA-PBE.

Properties
For the uncorrected energy, the calculation gives -0.49111 Ry per atom. The theoretical density is 7.81 g cm⁻³. The space group is I-43d (220). The value obtained for the formation energy is -476 kJ/mol of formula units.

Cell lengths 7.815, 7.815, 7.815 Å; angles 109.47, 109.47, 109.47 degrees
Fractional coordinates of all 14 atoms:
La1 0.500 0.000 0.111
La2 0.111 0.500 0.000
La3 0.000 0.111 0.500
La4 0.389 0.389 0.389
La5 0.500 0.000 0.611
La6 0.000 0.611 0.500
La7 0.611 0.500 0.000
La8 0.889 0.889 0.889
Rh1 0.875 0.250 0.125
Rh2 0.125 0.875 0.250
Rh3 0.750 0.375 0.625
Rh4 0.250 0.125 0.875
Rh5 0.375 0.625 0.750
Rh6 0.625 0.750 0.375